The following is a PBE with a Hubbard U calculation of an optimized crystal structure of Na8Zr3Ti3Mn2Si8O34F2, from the Materials Project.

Unit cell a=5.595 b=7.146 c=18.242 alpha=90.22 beta=94.54 gamma=90.16
Space group P1 (No. 1)
Inequivalent atoms, fractional coordinates:
Na (0.000, 0.000, 0.000) (multiplicity 1)
Na (0.007, 0.549, 0.502) (multiplicity 1)
Na (0.129, 0.775, 0.818) (multiplicity 1)
Na (0.386, 0.548, 0.677) (multiplicity 1)
Na (0.500, 0.318, 0.503) (multiplicity 1)
Na (0.509, 0.768, 0.001) (multiplicity 1)
Na (0.624, 0.544, 0.319) (multiplicity 1)
Na (0.887, 0.769, 0.177) (multiplicity 1)
Zr (0.137, 0.278, 0.822) (multiplicity 1)
Zr (0.634, 0.037, 0.324) (multiplicity 1)
Zr (0.876, 0.283, 0.172) (multiplicity 1)
Ti (0.377, 0.033, 0.670) (multiplicity 1)
Ti (0.496, 0.270, 0.998) (multiplicity 1)
Ti (0.992, 0.049, 0.501) (multiplicity 1)
Mn (0.000, 0.519, 0.001) (multiplicity 1)
Mn (0.500, 0.796, 0.503) (multiplicity 1)
Si (0.138, 0.316, 0.356) (multiplicity 1)
Si (0.142, 0.772, 0.357) (multiplicity 1)
Si (0.369, 0.546, 0.146) (multiplicity 1)
Si (0.371, 0.001, 0.146) (multiplicity 1)
Si (0.636, 0.001, 0.853) (multiplicity 1)
Si (0.643, 0.545, 0.854) (multiplicity 1)
Si (0.866, 0.313, 0.648) (multiplicity 1)
Si (0.867, 0.776, 0.646) (multiplicity 1)
O (0.109, 0.246, 0.698) (multiplicity 1)
O (0.115, 0.060, 0.174) (multiplicity 1)
O (0.116, 0.238, 0.440) (multiplicity 1)
O (0.120, 0.847, 0.688) (multiplicity 1)
O (0.130, 0.543, 0.364) (multiplicity 1)
O (0.134, 0.486, 0.188) (multiplicity 1)
O (0.169, 0.851, 0.442) (multiplicity 1)
O (0.197, 0.300, 0.938) (multiplicity 1)
O (0.302, 0.029, 0.571) (multiplicity 1)
O (0.342, 0.471, 0.060) (multiplicity 1)
O (0.381, 0.830, 0.316) (multiplicity 1)
O (0.385, 0.608, 0.553) (multiplicity 1)
O (0.388, 0.774, 0.141) (multiplicity 1)
O (0.391, 0.076, 0.062) (multiplicity 1)
O (0.395, 0.255, 0.329) (multiplicity 1)
O (0.396, 0.483, 0.807) (multiplicity 1)
O (0.402, 0.064, 0.799) (multiplicity 1)
O (0.606, 0.067, 0.200) (multiplicity 1)
O (0.607, 0.242, 0.672) (multiplicity 1)
O (0.610, 0.077, 0.937) (multiplicity 1)
O (0.614, 0.481, 0.192) (multiplicity 1)
O (0.624, 0.849, 0.683) (multiplicity 1)
O (0.632, 0.773, 0.861) (multiplicity 1)
O (0.664, 0.468, 0.939) (multiplicity 1)
O (0.697, 0.019, 0.440) (multiplicity 1)
O (0.806, 0.290, 0.062) (multiplicity 1)
O (0.842, 0.841, 0.559) (multiplicity 1)
O (0.873, 0.545, 0.647) (multiplicity 1)
O (0.882, 0.485, 0.814) (multiplicity 1)
O (0.886, 0.706, 0.053) (multiplicity 1)
O (0.888, 0.247, 0.562) (multiplicity 1)
O (0.896, 0.061, 0.828) (multiplicity 1)
O (0.897, 0.835, 0.311) (multiplicity 1)
O (0.902, 0.252, 0.302) (multiplicity 1)
F (0.151, 0.726, 0.939) (multiplicity 1)
F (0.652, 0.591, 0.439) (multiplicity 1)

Calculated values
M_tot = 0.1333 μB per atom
energy of formation = -3.07 eV per atom

---

The following is a PBE with a Hubbard U calculation of an optimized crystal structure of Na4Zr2TiMnSi4O16F2, from the Materials Project.

Unit cell a=5.664 b=7.192 c=18.730 alpha=90.00 beta=102.79 gamma=90.00
Space group P2/c (No. 13)
Inequivalent atoms, fractional coordinates:
Na (0.000, 0.111, 0.250) (multiplicity 2)
Na (0.203, 0.114, 0.071) (multiplicity 4)
Na (0.500, 0.347, 0.250) (multiplicity 2)
Zr (0.197, 0.378, 0.575) (multiplicity 4)
Ti (0.000, 0.392, 0.750) (multiplicity 2)
Mn (0.500, 0.153, 0.750) (multiplicity 2)
Si (0.278, 0.114, 0.895) (multiplicity 4)
Si (0.279, 0.342, 0.396) (multiplicity 4)
O (0.080, 0.176, 0.941) (multiplicity 4)
O (0.098, 0.407, 0.449) (multiplicity 4)
O (0.176, 0.415, 0.312) (multiplicity 4)
O (0.213, 0.190, 0.810) (multiplicity 4)
O (0.231, 0.372, 0.686) (multiplicity 4)
O (0.264, 0.115, 0.390) (multiplicity 4)
O (0.441, 0.405, 0.077) (multiplicity 4)
O (0.443, 0.174, 0.567) (multiplicity 4)
F (0.304, 0.079, 0.193) (multiplicity 4)

Calculated values
M_tot = 0.1667 μB per atom
energy of formation = -3.19 eV per atom

---

The following is a PBE with a Hubbard U calculation of an optimized crystal structure of Rb2NaMn3F12, from the Materials Project.

Unit cell a=7.289 b=7.660 c=10.363 alpha=89.88 beta=86.65 gamma=89.51
Space group P-1 (No. 2)
Inequivalent atoms, fractional coordinates:
Rb (0.018, 0.249, 0.106) (multiplicity 2)
Rb (0.473, 0.237, 0.361) (multiplicity 2)
Na (0.208, 0.738, 0.246) (multiplicity 2)
Mn (0.000, 0.000, 0.500) (multiplicity 1)
Mn (0.000, 0.500, 0.500) (multiplicity 1)
Mn (0.311, 0.248, 0.716) (multiplicity 2)
Mn (0.500, 0.000, 0.000) (multiplicity 1)
Mn (0.500, 0.500, 0.000) (multiplicity 1)
F (0.086, 0.733, 0.487) (multiplicity 2)
F (0.091, 0.268, 0.815) (multiplicity 2)
F (0.121, 0.033, 0.338) (multiplicity 2)
F (0.132, 0.453, 0.343) (multiplicity 2)
F (0.222, 0.055, 0.581) (multiplicity 2)
F (0.245, 0.432, 0.602) (multiplicity 2)
F (0.253, 0.549, 0.046) (multiplicity 2)
F (0.267, 0.934, 0.067) (multiplicity 2)
F (0.381, 0.054, 0.821) (multiplicity 2)
F (0.441, 0.446, 0.828) (multiplicity 2)
F (0.449, 0.233, 0.064) (multiplicity 2)
F (0.460, 0.771, 0.373) (multiplicity 2)

Calculated values
energy of formation = -2.94 eV per atom

---

The following is a PBE with a Hubbard U calculation of an optimized crystal structure of Mn3O5F, from the Materials Project.

Unit cell a=5.449 b=5.462 c=7.109 alpha=72.60 beta=72.61 gamma=72.18
Space group P1 (No. 1)
Inequivalent atoms, fractional coordinates:
Mn (0.000, 0.000, 0.000) (multiplicity 1)
Mn (0.002, 0.009, 0.509) (multiplicity 1)
Mn (0.347, 0.347, 0.658) (multiplicity 1)
Mn (0.357, 0.364, 0.169) (multiplicity 1)
Mn (0.681, 0.673, 0.829) (multiplicity 1)
Mn (0.708, 0.657, 0.335) (multiplicity 1)
O (0.039, 0.649, 0.668) (multiplicity 1)
O (0.114, 0.107, 0.706) (multiplicity 1)
O (0.318, 0.708, 0.995) (multiplicity 1)
O (0.461, 0.450, 0.367) (multiplicity 1)
O (0.582, 0.576, 0.624) (multiplicity 1)
O (0.650, 0.036, 0.670) (multiplicity 1)
O (0.706, 0.317, 0.998) (multiplicity 1)
O (0.777, 0.775, 0.041) (multiplicity 1)
O (0.916, 0.904, 0.296) (multiplicity 1)
O (0.998, 0.365, 0.332) (multiplicity 1)
F (0.241, 0.235, 0.972) (multiplicity 1)
F (0.384, 0.977, 0.334) (multiplicity 1)

Calculated values
M_tot = 1.1112 μB per atom
polymorph energy (0 for the lowest one) = 7 meV per atom
energy of formation = -1.94 eV per atom

---

The following is a PBE with a Hubbard U calculation of an optimized crystal structure of Mn12O5F19, from the Materials Project.

Unit cell a=4.882 b=5.849 c=15.933 alpha=90.62 beta=90.01 gamma=93.32
Space group P1 (No. 1)
Inequivalent atoms, fractional coordinates:
Mn (0.000, 0.000, 0.000) (multiplicity 1)
Mn (0.006, 0.318, 0.831) (multiplicity 1)
Mn (0.014, 0.314, 0.160) (multiplicity 1)
Mn (0.020, 0.994, 0.675) (multiplicity 1)
Mn (0.030, 0.018, 0.337) (multiplicity 1)
Mn (0.049, 0.331, 0.498) (multiplicity 1)
Mn (0.504, 0.812, 0.500) (multiplicity 1)
Mn (0.510, 0.488, 0.334) (multiplicity 1)
Mn (0.518, 0.496, 0.658) (multiplicity 1)
Mn (0.530, 0.524, 0.997) (multiplicity 1)
Mn (0.538, 0.842, 0.164) (multiplicity 1)
Mn (0.554, 0.835, 0.836) (multiplicity 1)
O (0.235, 0.279, 0.395) (multiplicity 1)
O (0.303, 0.548, 0.551) (multiplicity 1)
O (0.739, 0.795, 0.941) (multiplicity 1)
O (0.803, 0.048, 0.781) (multiplicity 1)
O (0.809, 0.049, 0.103) (multiplicity 1)
F (0.239, 0.048, 0.897) (multiplicity 1)
F (0.256, 0.284, 0.727) (multiplicity 1)
F (0.257, 0.272, 0.048) (multiplicity 1)
F (0.260, 0.041, 0.565) (multiplicity 1)
F (0.262, 0.064, 0.224) (multiplicity 1)
F (0.284, 0.770, 0.056) (multiplicity 1)
F (0.290, 0.555, 0.218) (multiplicity 1)
F (0.296, 0.558, 0.880) (multiplicity 1)
F (0.297, 0.783, 0.386) (multiplicity 1)
F (0.323, 0.790, 0.730) (multiplicity 1)
F (0.751, 0.553, 0.112) (multiplicity 1)
F (0.751, 0.784, 0.607) (multiplicity 1)
F (0.757, 0.779, 0.280) (multiplicity 1)
F (0.759, 0.548, 0.768) (multiplicity 1)
F (0.759, 0.565, 0.442) (multiplicity 1)
F (0.783, 0.056, 0.452) (multiplicity 1)
F (0.787, 0.268, 0.274) (multiplicity 1)
F (0.793, 0.298, 0.941) (multiplicity 1)
F (0.825, 0.289, 0.605) (multiplicity 1)

Calculated values
M_tot = 1.5278 μB per atom
polymorph energy (0 for the lowest one) = 0 meV per atom
energy of formation = -2.66 eV per atom

---

The following is a PBE with a Hubbard U calculation of an optimized crystal structure of Mn12O5F19, from the Materials Project.

Unit cell a=4.822 b=5.864 c=16.053 alpha=90.18 beta=90.14 gamma=91.70
Space group P1 (No. 1)
Inequivalent atoms, fractional coordinates:
Mn (0.000, 0.000, 0.000) (multiplicity 1)
Mn (0.000, 0.008, 0.672) (multiplicity 1)
Mn (0.002, 0.013, 0.322) (multiplicity 1)
Mn (0.017, 0.323, 0.832) (multiplicity 1)
Mn (0.034, 0.346, 0.495) (multiplicity 1)
Mn (0.497, 0.823, 0.495) (multiplicity 1)
Mn (0.498, 0.854, 0.818) (multiplicity 1)
Mn (0.501, 0.514, 0.336) (multiplicity 1)
Mn (0.518, 0.528, 0.665) (multiplicity 1)
Mn (0.519, 0.539, 0.997) (multiplicity 1)
Mn (0.541, 0.839, 0.161) (multiplicity 1)
Mn (0.993, 0.321, 0.163) (multiplicity 1)
O (0.218, 0.055, 0.774) (multiplicity 1)
O (0.297, 0.582, 0.444) (multiplicity 1)
O (0.715, 0.807, 0.718) (multiplicity 1)
O (0.722, 0.790, 0.058) (multiplicity 1)
O (0.794, 0.058, 0.213) (multiplicity 1)
F (0.233, 0.299, 0.272) (multiplicity 1)
F (0.236, 0.274, 0.612) (multiplicity 1)
F (0.241, 0.298, 0.947) (multiplicity 1)
F (0.247, 0.066, 0.436) (multiplicity 1)
F (0.249, 0.073, 0.106) (multiplicity 1)
F (0.266, 0.785, 0.602) (multiplicity 1)
F (0.268, 0.557, 0.771) (multiplicity 1)
F (0.272, 0.567, 0.115) (multiplicity 1)
F (0.282, 0.797, 0.930) (multiplicity 1)
F (0.313, 0.807, 0.268) (multiplicity 1)
F (0.735, 0.577, 0.881) (multiplicity 1)
F (0.743, 0.561, 0.554) (multiplicity 1)
F (0.746, 0.553, 0.228) (multiplicity 1)
F (0.747, 0.798, 0.391) (multiplicity 1)
F (0.765, 0.071, 0.891) (multiplicity 1)
F (0.774, 0.297, 0.721) (multiplicity 1)
F (0.776, 0.048, 0.555) (multiplicity 1)
F (0.781, 0.299, 0.051) (multiplicity 1)
F (0.787, 0.285, 0.387) (multiplicity 1)

Calculated values
M_tot = 1.5278 μB per atom
polymorph energy (0 for the lowest one) = 6 meV per atom
energy of formation = -2.66 eV per atom

---

The following is a PBE with a Hubbard U calculation of an optimized crystal structure of Mn3O5F, from the Materials Project.

Unit cell a=3.008 b=4.536 c=13.600 alpha=90.00 beta=90.00 gamma=90.00
Space group Pmn2_1 (No. 31)
Inequivalent atoms, fractional coordinates:
Mn (0.000, 0.225, 0.000) (multiplicity 2)
Mn (0.000, 0.226, 0.679) (multiplicity 2)
Mn (0.000, 0.269, 0.339) (multiplicity 2)
O (0.000, 0.549, 0.907) (multiplicity 2)
O (0.000, 0.562, 0.236) (multiplicity 2)
O (0.000, 0.934, 0.778) (multiplicity 2)
O (0.000, 0.948, 0.109) (multiplicity 2)
O (0.000, 0.956, 0.440) (multiplicity 2)
F (0.000, 0.551, 0.573) (multiplicity 2)

Calculated values
M_tot = 1.1112 μB per atom
polymorph energy (0 for the lowest one) = 4 meV per atom
energy of formation = -1.95 eV per atom

---

The following is a PBE with a Hubbard U calculation of an optimized crystal structure of Mn8O13F3, from the Materials Project.

Unit cell a=5.535 b=6.716 c=6.741 alpha=95.91 beta=90.86 gamma=90.33
Space group P1 (No. 1)
Inequivalent atoms, fractional coordinates:
Mn (0.000, 0.000, 0.000) (multiplicity 1)
Mn (0.005, 0.492, 0.480) (multiplicity 1)
Mn (0.200, 0.990, 0.484) (multiplicity 1)
Mn (0.219, 0.507, 0.998) (multiplicity 1)
Mn (0.499, 0.747, 0.735) (multiplicity 1)
Mn (0.505, 0.256, 0.239) (multiplicity 1)
Mn (0.669, 0.249, 0.741) (multiplicity 1)
Mn (0.725, 0.736, 0.230) (multiplicity 1)
O (0.242, 0.710, 0.532) (multiplicity 1)
O (0.243, 0.782, 0.941) (multiplicity 1)
O (0.245, 0.220, 0.038) (multiplicity 1)
O (0.246, 0.274, 0.437) (multiplicity 1)
O (0.459, 0.475, 0.793) (multiplicity 1)
O (0.462, 0.018, 0.680) (multiplicity 1)
O (0.471, 0.533, 0.195) (multiplicity 1)
O (0.735, 0.201, 0.018) (multiplicity 1)
O (0.740, 0.293, 0.462) (multiplicity 1)
O (0.750, 0.790, 0.954) (multiplicity 1)
O (0.752, 0.697, 0.513) (multiplicity 1)
O (0.966, 0.946, 0.266) (multiplicity 1)
O (0.968, 0.538, 0.205) (multiplicity 1)
F (0.489, 0.958, 0.271) (multiplicity 1)
F (0.963, 0.049, 0.719) (multiplicity 1)
F (0.976, 0.449, 0.774) (multiplicity 1)

Calculated values
M_tot = 1.1251 μB per atom
polymorph energy (0 for the lowest one) = 26 meV per atom
energy of formation = -1.95 eV per atom

---

no.,energy with MP2020 corrections (Ry/atom)
1,-0.586
2,-0.587
3,-0.436
4,-0.585
5,-0.545
6,-0.544
7,-0.585
8,-0.582